(1)
## Ce5C2Br9 (PBE-GGA)

Data for an optimized crystal structure of Ce5C2Br9.

Output
SG ... Pnma
ΔH_f (0 K) ... -1.798 eV per atom

abc: 11.2844 9.9155 16.5803
angles: 90.00 90.00 90.00
Fractional coordinates of all 64 atoms:
1 Ce 0.0368 0.2500 0.0641
2 Ce 0.0715 0.2500 0.8408
3 Ce 0.1363 0.7500 0.6494
4 Ce 0.1906 0.5476 0.4505
5 Ce 0.1906 0.9524 0.4505
6 Ce 0.3094 0.0476 0.9505
7 Ce 0.3094 0.4524 0.9505
8 Ce 0.3637 0.2500 0.1494
9 Ce 0.4285 0.7500 0.3408
10 Ce 0.4632 0.7500 0.5641
11 Ce 0.5368 0.2500 0.4359
12 Ce 0.5715 0.2500 0.6592
13 Ce 0.6363 0.7500 0.8506
14 Ce 0.6906 0.5476 0.0495
15 Ce 0.6906 0.9524 0.0495
16 Ce 0.8094 0.0476 0.5495
17 Ce 0.8094 0.4524 0.5495
18 Ce 0.8637 0.2500 0.3506
19 Ce 0.9285 0.7500 0.1592
20 Ce 0.9632 0.7500 0.9359
21 C 0.1812 0.2500 0.9571
22 C 0.2453 0.7500 0.5292
23 C 0.2547 0.2500 0.0292
24 C 0.3188 0.7500 0.4571
25 C 0.6812 0.2500 0.5429
26 C 0.7453 0.7500 0.9708
27 C 0.7547 0.2500 0.4708
28 C 0.8188 0.7500 0.0429
29 Br 0.0685 0.0343 0.6117
30 Br 0.0685 0.4657 0.6117
31 Br 0.1134 0.2500 0.4409
32 Br 0.1139 0.5723 0.0611
33 Br 0.1139 0.9277 0.0611
34 Br 0.1280 0.2500 0.2282
35 Br 0.1352 0.5514 0.8247
36 Br 0.1352 0.9486 0.8247
37 Br 0.1608 0.7500 0.2888
38 Br 0.3392 0.2500 0.7888
39 Br 0.3648 0.0514 0.3247
40 Br 0.3648 0.4486 0.3247
41 Br 0.3720 0.7500 0.7282
42 Br 0.3861 0.0723 0.5611
43 Br 0.3861 0.4277 0.5611
44 Br 0.3866 0.7500 0.9409
45 Br 0.4315 0.5343 0.1117
46 Br 0.4315 0.9657 0.1117
47 Br 0.5685 0.0343 0.8883
48 Br 0.5685 0.4657 0.8883
49 Br 0.6134 0.2500 0.0591
50 Br 0.6139 0.5723 0.4389
51 Br 0.6139 0.9277 0.4389
52 Br 0.6280 0.2500 0.2718
53 Br 0.6352 0.5514 0.6753
54 Br 0.6352 0.9486 0.6753
55 Br 0.6608 0.7500 0.2112
56 Br 0.8392 0.2500 0.7112
57 Br 0.8648 0.0514 0.1753
58 Br 0.8648 0.4486 0.1753
59 Br 0.8720 0.7500 0.7718
60 Br 0.8861 0.0723 0.9389
61 Br 0.8861 0.4277 0.9389
62 Br 0.8866 0.7500 0.5591
63 Br 0.9315 0.5343 0.3883
64 Br 0.9315 0.9657 0.3883


(2)
## CaZnO3 (PBE-GGA)

Data for an optimized crystal structure of CaZnO3.

Output
SG ... Pm-3m
ΔH_f (0 K) ... -1.802 eV per atom

abc: 3.8766 3.8766 3.8766
angles: 90.00 90.00 90.00
Fractional coordinates of all 5 atoms:
1 Ca 0.0000 0.0000 0.0000
2 Zn 0.5000 0.5000 0.5000
3 O 0.0000 0.5000 0.5000
4 O 0.5000 0.0000 0.5000
5 O 0.5000 0.5000 0.0000


- Which of these has the lowest ΔH_f (0 K)?
  CaZnO3


- What is the ΔH_f (0 K) in the first record?
  -1.798 eV per atom


Repeat the second record exactly.
## CaZnO3 (PBE-GGA)

Data for an optimized crystal structure of CaZnO3.

Output
SG ... Pm-3m
ΔH_f (0 K) ... -1.802 eV per atom

abc: 3.8766 3.8766 3.8766
angles: 90.00 90.00 90.00
Fractional coordinates of all 5 atoms:
1 Ca 0.0000 0.0000 0.0000
2 Zn 0.5000 0.5000 0.5000
3 O 0.0000 0.5000 0.5000
4 O 0.5000 0.0000 0.5000
5 O 0.5000 0.5000 0.0000


- Which formula does entry 1 have?
  Ce5C2Br9